The following is a DFT calculation (GGA-PBE) of a geometry-optimized HfN2 structure.

Properties
Total magnetization ... 0.0 μB/cell
ΔH_f (0 K) ... -1040 meV per atom
SG ... No. 205

Lattice parameters (Å, degrees): 5.1282 5.1282 5.1282 90.00 90.00 90.00
Fractional coordinates of all 12 atoms:
N  0.4147  0.4147  0.4147
Hf  0.5000  0.0000  0.5000
Hf  0.0000  0.5000  0.5000
N  0.9147  0.0853  0.5853
Hf  0.5000  0.5000  0.0000
N  0.5853  0.5853  0.5853
N  0.0853  0.9147  0.4147
N  0.4147  0.0853  0.9147
N  0.0853  0.5853  0.9147
N  0.9147  0.4147  0.0853
Hf  0.0000  0.0000  0.0000
N  0.5853  0.9147  0.0853


The following is a DFT calculation (GGA-PBE) of a geometry-optimized HfN structure.

Properties
ΔH_f (0 K) ... -1929 meV per atom
SG ... No. 225

Lattice parameters (Å, degrees): 3.2087 3.2087 3.2087 60.00 60.00 60.00
Fractional coordinates of all 2 atoms:
N  0.5000  0.5000  0.5000
Hf  0.0000  0.0000  0.0000


The following is a DFT calculation (GGA-PBE) of a geometry-optimized Hf8Ni4N structure.

Properties
Total magnetization ... 0.0 μB/cell
ΔH_f (0 K) ... -621 meV per atom
SG ... No. 74

Lattice parameters (Å, degrees): 8.5396 8.5396 8.5396 120.08 119.84 90.06
Fractional coordinates of all 26 atoms:
Hf  0.6919  0.4380  0.8765
Hf  0.5000  0.0000  0.0000
Hf  0.6919  0.8153  0.2538
Ni  0.6549  0.2205  0.4344
N  0.0000  0.5000  0.0000
Hf  0.3081  0.1847  0.7462
Hf  0.9385  0.5620  0.7538
Ni  0.2806  0.2246  0.4440
N  0.0000  0.0000  0.5000
Ni  0.7140  0.7795  0.9344
Hf  0.9406  0.1906  0.7500
Ni  0.3451  0.7795  0.5656
Ni  0.2860  0.2205  0.0656
Hf  0.0615  0.8153  0.6235
Hf  0.6881  0.4381  0.2500
Hf  0.0000  0.0000  0.0000
Hf  0.9385  0.1847  0.3765
Hf  0.3081  0.5620  0.1235
Hf  0.5000  0.5000  0.5000
Ni  0.2806  0.8365  0.0560
Hf  0.0594  0.8094  0.2500
Hf  0.0615  0.4380  0.2462
Ni  0.7194  0.1635  0.9440
Ni  0.7194  0.7754  0.5560
Hf  0.3119  0.5619  0.7500
Hf  0.5000  0.0000  0.5000


The following is a DFT calculation (GGA-PBE) of a geometry-optimized Hf2N2O structure.

Properties
ΔH_f (0 K) ... -2388 meV per atom
SG ... No. 1

Lattice parameters (Å, degrees): 8.7217 8.7260 8.7427 109.47 109.55 109.29
Fractional coordinates of all 40 atoms:
O  0.7243  0.7748  0.7381
Hf  0.9692  0.7468  0.7187
N  0.0421  0.0309  0.7722
N  0.2281  0.7621  0.7736
N  0.4551  0.2292  0.9906
O  0.5522  0.7789  0.0189
O  0.7643  0.2722  0.7292
N  0.7237  0.9524  0.4646
N  0.0337  0.2707  0.5432
Hf  0.4915  0.4881  0.4985
Hf  0.7143  0.4555  0.2462
Hf  0.4976  0.0036  0.9885
N  0.7400  0.4672  0.5138
Hf  0.2137  0.9676  0.2534
Hf  0.7555  0.2183  0.4602
O  0.4636  0.0071  0.2351
N  0.7771  0.5140  0.0502
Hf  0.2462  0.2783  0.0274
O  0.9499  0.9627  0.2257
N  0.2297  0.4875  0.9563
O  0.9827  0.2594  0.0305
N  0.4930  0.4610  0.7299
Hf  0.7813  0.0312  0.7406
Hf  0.4606  0.7473  0.2162
N  0.2594  0.5330  0.4824
N  0.7709  0.2343  0.2243
N  0.2422  0.7291  0.2726
N  0.5377  0.9893  0.7628
Hf  0.2565  0.7897  0.5392
N  0.0066  0.7396  0.9665
Hf  0.0402  0.2587  0.2926
Hf  0.7491  0.7043  0.9646
Hf  0.0037  0.0081  0.5121
Hf  0.0116  0.5162  0.0093
O  0.9642  0.7272  0.4519
Hf  0.2802  0.5314  0.7455
N  0.2723  0.2256  0.2588
Hf  0.5319  0.2507  0.7869
O  0.5146  0.5491  0.2758
N  0.2694  0.0470  0.5330


The following is a DFT calculation (GGA-PBE) of a geometry-optimized Hf2N2O structure.

Properties
Total magnetization ... 0.0 μB/cell
ΔH_f (0 K) ... -2301 meV per atom
SG ... No. 164

Lattice parameters (Å, degrees): 6.4299 6.4299 15.7306 90.00 90.00 120.00
Fractional coordinates of all 40 atoms:
N  0.6883  0.8442  0.0869
Hf  0.1672  0.8328  0.8345
Hf  0.6655  0.8328  0.8345
N  0.1772  0.8228  0.5829
N  0.6667  0.3333  0.0871
Hf  0.1672  0.3345  0.8345
O  0.4735  0.9469  0.7585
Hf  0.8328  0.1672  0.1655
Hf  0.3345  0.1672  0.1655
Hf  0.0000  0.5000  0.5000
O  0.5265  0.4735  0.2415
N  0.8228  0.1772  0.4171
Hf  0.0000  0.0000  0.0000
O  0.4735  0.5265  0.7585
N  0.1558  0.3117  0.0869
N  0.0000  0.0000  0.2405
Hf  0.3333  0.6667  0.6682
Hf  0.5000  0.0000  0.5000
N  0.6455  0.8228  0.5829
O  0.0531  0.5265  0.7585
Hf  0.8328  0.6655  0.1655
N  0.1772  0.3545  0.5829
N  0.8442  0.1558  0.9131
Hf  0.6667  0.3333  0.3318
N  0.3117  0.1558  0.9131
N  0.1558  0.8442  0.0869
N  0.3545  0.1772  0.4171
O  0.9469  0.4735  0.2415
Hf  0.3333  0.6667  0.0446
Hf  0.5000  0.5000  0.5000
O  0.3333  0.6667  0.4395
N  0.8228  0.6455  0.4171
Hf  0.6667  0.3333  0.9554
O  0.6667  0.3333  0.5605
O  0.5265  0.0531  0.2415
N  0.0000  0.0000  0.7595
Hf  0.0000  0.0000  0.3724
N  0.8442  0.6883  0.9131
N  0.3333  0.6667  0.9129
Hf  0.0000  0.0000  0.6276


The following is a DFT calculation (GGA-PBE) of a geometry-optimized Hf2N2O structure.

Properties
ΔH_f (0 K) ... -2385 meV per atom
SG ... No. 1

Lattice parameters (Å, degrees): 8.7181 8.7278 8.7305 109.54 109.28 109.42
Fractional coordinates of all 40 atoms:
N  0.9694  0.5129  0.2399
N  0.4558  0.4656  0.2239
Hf  0.0062  0.0087  0.5201
N  0.4631  0.2273  0.4509
O  0.0163  0.0525  0.2770
Hf  0.9870  0.4976  0.9892
N  0.5442  0.5379  0.7729
N  0.7603  0.0300  0.4838
Hf  0.5069  0.9979  0.9970
O  0.7693  0.7273  0.2524
N  0.7349  0.2261  0.2680
Hf  0.5105  0.5022  0.4996
Hf  0.0341  0.7450  0.7822
N  0.9910  0.9582  0.7329
N  0.2329  0.9619  0.5035
Hf  0.7515  0.2833  0.5369
N  0.2664  0.7728  0.7308
N  0.7309  0.9884  0.9586
N  0.9618  0.7338  0.9953
O  0.2781  0.7428  0.2218
N  0.0349  0.4863  0.7635
Hf  0.7753  0.0268  0.7408
Hf  0.4646  0.2510  0.7048
Hf  0.2161  0.9679  0.2592
O  0.0494  0.2758  0.0149
Hf  0.9559  0.2519  0.2140
N  0.7263  0.2622  0.7792
N  0.2293  0.2727  0.7429
Hf  0.5352  0.7494  0.2920
Hf  0.2472  0.7202  0.4717
N  0.5256  0.7701  0.5412
Hf  0.7192  0.4630  0.2564
O  0.4862  0.7639  0.0380
O  0.2198  0.4444  0.4654
Hf  0.7517  0.7801  0.0243
Hf  0.2840  0.5342  0.7492
O  0.2784  0.0138  0.0480
Hf  0.2503  0.2171  0.9631
O  0.5045  0.2277  0.9615
N  0.7754  0.5496  0.5334


The following is a DFT calculation (GGA-PBE) of a geometry-optimized Hf2N2O structure.

Properties
ΔH_f (0 K) ... -2386 meV per atom
SG ... No. 1

Lattice parameters (Å, degrees): 8.7174 8.7268 8.7317 109.37 109.32 109.42
Fractional coordinates of all 40 atoms:
Hf  0.5322  0.2490  0.7881
Hf  0.4691  0.7583  0.2190
O  0.2405  0.4683  0.0164
N  0.4857  0.2616  0.5335
O  0.7304  0.7704  0.2742
Hf  0.0109  0.0043  0.5202
Hf  0.5005  0.4937  0.4888
Hf  0.9819  0.4900  0.9872
N  0.5092  0.7353  0.4617
N  0.2582  0.2713  0.2270
N  0.7644  0.5389  0.9914
N  0.5439  0.0318  0.2740
N  0.2686  0.2418  0.7278
Hf  0.7895  0.5309  0.2469
N  0.4676  0.7221  0.9542
O  0.9539  0.2261  0.4804
Hf  0.9622  0.7420  0.7031
O  0.7337  0.7232  0.7719
Hf  0.2508  0.2133  0.9659
Hf  0.7439  0.2849  0.5348
O  0.2271  0.7739  0.2374
O  0.2709  0.5128  0.5488
N  0.9661  0.0069  0.7396
N  0.5331  0.2720  0.0491
Hf  0.2942  0.0454  0.2597
O  0.2267  0.9551  0.9678
N  0.7269  0.4926  0.4572
Hf  0.5093  0.0043  0.9995
N  0.9930  0.4559  0.2286
N  0.4505  0.9627  0.7275
Hf  0.2533  0.7156  0.4655
Hf  0.0293  0.2486  0.2741
O  0.0352  0.9834  0.2632
N  0.0456  0.7750  0.5088
N  0.0176  0.5484  0.7757
Hf  0.2204  0.4720  0.7575
N  0.7739  0.2276  0.7621
Hf  0.7442  0.7822  0.0318
N  0.7752  0.0419  0.0336
Hf  0.7104  0.9667  0.7460


The following is a DFT calculation (GGA-PBE) of a geometry-optimized Hf2N2O structure.

Properties
ΔH_f (0 K) ... -2379 meV per atom
SG ... No. 1

Lattice parameters (Å, degrees): 8.7126 8.7278 8.7446 109.40 109.50 109.40
Fractional coordinates of all 40 atoms:
O  0.9854  0.4604  0.2310
N  0.5396  0.2737  0.0446
N  0.2394  0.4646  0.0149
O  0.7513  0.7309  0.7822
N  0.7321  0.7603  0.2721
Hf  0.9659  0.7418  0.7148
O  0.4500  0.9641  0.7265
Hf  0.7181  0.9714  0.7522
O  0.5437  0.0355  0.2693
N  0.7298  0.4938  0.4572
Hf  0.4606  0.7414  0.2136
N  0.4668  0.7285  0.9548
Hf  0.2155  0.4610  0.7472
N  0.0098  0.5435  0.7732
N  0.2684  0.2311  0.7234
Hf  0.2600  0.2151  0.9673
Hf  0.0119  0.5016  0.9952
N  0.2235  0.7733  0.2381
Hf  0.7536  0.2914  0.5427
O  0.0539  0.7766  0.5190
Hf  0.4859  0.4876  0.4868
Hf  0.7392  0.7868  0.0353
O  0.0373  0.9931  0.2669
Hf  0.7762  0.5342  0.2537
N  0.2686  0.5128  0.5423
Hf  0.5379  0.2548  0.7849
Hf  0.2580  0.7163  0.4649
N  0.2565  0.2709  0.2260
N  0.9457  0.2183  0.4821
N  0.4878  0.2590  0.5317
N  0.2282  0.9542  0.9636
O  0.9597  0.0020  0.7300
Hf  0.4988  0.9988  0.0015
O  0.7590  0.5359  0.9821
N  0.5173  0.7460  0.4744
N  0.7732  0.0448  0.0324
N  0.7742  0.2269  0.7679
Hf  0.9984  0.0095  0.5004
Hf  0.0330  0.2526  0.2852
Hf  0.2862  0.0355  0.2485


The following is a DFT calculation (GGA-PBE) of a geometry-optimized Hf2N2O structure.

Properties
ΔH_f (0 K) ... -2387 meV per atom
SG ... No. 1

Lattice parameters (Å, degrees): 8.7112 8.7197 8.7352 109.44 109.39 109.44
Fractional coordinates of all 40 atoms:
O  0.2218  0.4449  0.9800
N  0.5344  0.2651  0.4881
Hf  0.4705  0.7208  0.2469
N  0.9575  0.7259  0.4693
O  0.4634  0.7398  0.5208
N  0.4840  0.2249  0.9520
Hf  0.2119  0.7574  0.4639
O  0.0136  0.4616  0.2359
O  0.0334  0.0525  0.7766
Hf  0.2531  0.0293  0.2862
Hf  0.7437  0.4652  0.2154
Hf  0.0002  0.9968  0.4895
Hf  0.7475  0.9651  0.7067
N  0.2585  0.9895  0.0314
Hf  0.5393  0.2821  0.7501
N  0.5389  0.5104  0.2720
O  0.2264  0.2802  0.2647
N  0.7636  0.2266  0.7783
N  0.7732  0.5466  0.0119
N  0.2404  0.7678  0.2290
N  0.9664  0.9585  0.2260
O  0.7368  0.0118  0.9642
Hf  0.5115  0.4986  0.5010
O  0.2780  0.7587  0.7242
N  0.5078  0.7676  0.0393
Hf  0.5006  0.0083  0.0107
Hf  0.2451  0.5352  0.7854
Hf  0.9636  0.2136  0.2586
N  0.7700  0.7296  0.7370
N  0.7280  0.2361  0.2695
Hf  0.0273  0.7800  0.7493
Hf  0.9909  0.5032  0.9948
N  0.9953  0.5381  0.7668
Hf  0.7866  0.2498  0.5364
N  0.0526  0.2754  0.5362
N  0.2736  0.0323  0.5472
N  0.7270  0.9629  0.4573
O  0.4527  0.4889  0.7236
Hf  0.2926  0.2481  0.0353
Hf  0.7184  0.7508  0.9687


The following is a DFT calculation (GGA-PBE) of a geometry-optimized Hf2N2O structure.

Properties
ΔH_f (0 K) ... -2386 meV per atom
SG ... No. 1

Lattice parameters (Å, degrees): 8.7235 8.7270 8.7271 109.38 109.33 109.48
Fractional coordinates of all 40 atoms:
Hf  0.7437  0.4636  0.2091
Hf  0.5345  0.7872  0.2504
O  0.2273  0.7733  0.7628
N  0.4629  0.2378  0.0109
N  0.2766  0.5332  0.0467
Hf  0.0328  0.2820  0.2536
O  0.2347  0.2717  0.7280
N  0.2231  0.9493  0.4883
N  0.9704  0.4605  0.7300
Hf  0.7539  0.9744  0.7234
N  0.9919  0.0336  0.2591
Hf  0.9531  0.7065  0.7396
Hf  0.2573  0.0373  0.2976
N  0.7394  0.5170  0.4663
N  0.7736  0.2294  0.2371
N  0.5070  0.2732  0.5436
Hf  0.7139  0.2483  0.4645
Hf  0.2189  0.2582  0.9700
N  0.2601  0.4894  0.5345
N  0.7576  0.7282  0.2684
O  0.0215  0.9665  0.7415
O  0.2770  0.2648  0.2275
Hf  0.9861  0.9889  0.4802
Hf  0.2909  0.7550  0.5418
Hf  0.5103  0.0180  0.0133
Hf  0.7863  0.7469  0.0326
N  0.7745  0.0460  0.5177
N  0.7308  0.4653  0.9528
Hf  0.2436  0.5315  0.7818
N  0.9584  0.2274  0.9694
Hf  0.4680  0.2101  0.7508
Hf  0.9965  0.4892  0.9909
O  0.4819  0.7250  0.4493
N  0.5425  0.0056  0.7706
O  0.5318  0.7599  0.9842
O  0.0377  0.5500  0.2728
N  0.7284  0.7402  0.7724
Hf  0.5074  0.5000  0.5107
N  0.4490  0.9835  0.2212
O  0.0448  0.7722  0.0342


The following is a DFT calculation (GGA-PBE) of a geometry-optimized Hf2N2O structure.

Properties
Total magnetization ... 0.0 μB/cell
ΔH_f (0 K) ... -2317 meV per atom
SG ... No. 1

Lattice parameters (Å, degrees): 5.4366 5.4759 10.1938 75.50 75.02 60.60
Fractional coordinates of all 20 atoms:
N  0.3839  0.0746  0.8745
N  0.1121  0.4244  0.6278
Hf  0.4112  0.4406  0.7145
Hf  0.5671  0.5802  0.2849
O  0.3186  0.6202  0.1277
Hf  0.9199  0.9524  0.2143
O  0.8728  0.5631  0.3791
N  0.6217  0.9199  0.1254
Hf  0.8303  0.8179  0.5357
Hf  0.2004  0.1679  0.4653
N  0.0842  0.6754  0.8740
O  0.6807  0.3735  0.8757
Hf  0.3192  0.3105  0.0357
Hf  0.6922  0.6867  0.9636
N  0.1698  0.8679  0.3769
N  0.9208  0.3276  0.1213
O  0.8115  0.1288  0.6259
N  0.4183  0.8283  0.6218
Hf  0.0874  0.0669  0.7860
N  0.5778  0.1731  0.3701